An optimized crystal structure of Li6V3P8O29. Source: Materials Project, functional GGA+U.

* SG: P1
* formation energy: -2.66 eV/atom
* excess energy over the best structure of this formula in the dataset: 5 meV per atom

The structure in CIF format:
```
data_Li6V3P8O29
_chemical_formula_sum 'Li12 V6 P16 O58'
_cell_length_a 9.811
_cell_length_b 9.834
_cell_length_c 13.943
_cell_angle_alpha 89.75
_cell_angle_beta 89.52
_cell_angle_gamma 60.08
_space_group_name_H-M_alt 'P 1'
_space_group_IT_number 1
loop_
_space_group_symop_operation_xyz
'x,y,z'
loop_
_atom_site_label
_atom_site_type_symbol
_atom_site_fract_x
_atom_site_fract_y
_atom_site_fract_z
Li1 Li 0.223 0.079 0.559
Li2 Li 0.086 0.686 0.561
Li3 Li 0.325 0.340 0.384
Li4 Li 0.324 0.339 0.886
Li5 Li 0.236 0.672 0.065
Li6 Li 0.676 0.090 0.063
Li7 Li 0.685 0.227 0.561
Li8 Li 0.335 0.900 0.942
Li9 Li 0.767 0.338 0.942
Li10 Li 0.908 0.319 0.436
Li11 Li 0.775 0.904 0.440
Li12 Li 0.000 0.999 0.004
V1 V 0.435 0.568 0.254
V2 V 0.568 0.434 0.746
V3 V 0.432 0.999 0.748
V4 V 0.564 0.998 0.249
V5 V 0.003 0.434 0.242
V6 V 0.992 0.570 0.756
P1 P 0.086 0.222 0.840
P2 P 0.228 0.091 0.341
P3 P 0.089 0.679 0.344
P4 P 0.337 0.336 0.127
P5 P 0.330 0.334 0.627
P6 P 0.227 0.683 0.845
P7 P 0.314 0.769 0.659
P8 P 0.681 0.094 0.844
P9 P 0.313 0.914 0.157
P10 P 0.678 0.229 0.342
P11 P 0.772 0.314 0.158
P12 P 0.672 0.663 0.371
P13 P 0.662 0.665 0.874
P14 P 0.916 0.320 0.654
P15 P 0.770 0.914 0.660
P16 P 0.917 0.776 0.158
O1 O 0.001 0.244 0.563
O2 O 0.079 0.255 0.339
O3 O 0.227 0.990 0.066
O4 O 0.257 0.079 0.840
O5 O 0.101 0.372 0.834
O6 O 0.191 0.331 0.170
O7 O 0.110 0.513 0.326
O8 O 0.010 0.791 0.077
O9 O 0.084 0.662 0.842
O10 O 0.327 0.184 0.665
O11 O 0.372 0.117 0.321
O12 O 0.183 0.482 0.671
O13 O 0.338 0.339 0.019
O14 O 0.329 0.336 0.520
O15 O 0.328 0.489 0.167
O16 O 0.517 0.110 0.830
O17 O 0.490 0.188 0.164
O18 O 0.254 0.659 0.341
O19 O 0.214 0.794 0.756
O20 O 0.230 0.759 0.574
O21 O 0.231 0.767 0.935
O22 O 0.376 0.519 0.830
O23 O 0.485 0.327 0.664
O24 O 0.340 0.746 0.163
O25 O 0.510 0.371 0.326
O26 O 0.664 0.080 0.344
O27 O 0.209 0.002 0.250
O28 O 0.246 0.004 0.432
O29 O 0.754 0.003 0.569
O30 O 0.337 0.914 0.658
O31 O 0.476 0.618 0.676
O32 O 0.660 0.262 0.837
O33 O 0.528 0.659 0.326
O34 O 0.615 0.467 0.169
O35 O 0.778 0.222 0.069
O36 O 0.753 0.247 0.431
O37 O 0.787 0.207 0.251
O38 O 0.752 0.332 0.658
O39 O 0.512 0.813 0.834
O40 O 0.470 0.914 0.169
O41 O 0.673 0.512 0.832
O42 O 0.665 0.661 0.980
O43 O 0.676 0.659 0.477
O44 O 0.823 0.518 0.326
O45 O 0.619 0.905 0.680
O46 O 0.667 0.817 0.330
O47 O 0.912 0.339 0.161
O48 O 0.014 0.203 0.741
O49 O 0.992 0.212 0.922
O50 O 0.902 0.479 0.674
O51 O 0.812 0.667 0.828
O52 O 0.916 0.621 0.165
O53 O 0.748 0.918 0.159
O54 O 0.766 0.017 0.934
O55 O 0.788 0.005 0.751
O56 O 0.916 0.751 0.660
O57 O 0.998 0.752 0.435
O58 O 0.991 0.794 0.258
```